## CsMg6BO8 (PBE-GGA)

Data for crystalline CsMg6BO8 at its relaxed geometry.

a = 4.411 Å, b = 4.411 Å, c = 9.664 Å
α = 90.00°, β = 90.00°, γ = 90.00°
Fractional coordinates of all 16 atoms:
1 Cs 0.000 0.000 0.000
2 Mg 0.000 0.000 0.500
3 Mg 0.000 0.500 0.284
4 Mg 0.000 0.500 0.716
5 Mg 0.500 0.000 0.284
6 Mg 0.500 0.000 0.716
7 Mg 0.500 0.500 0.500
8 B 0.500 0.500 0.000
9 O 0.000 0.000 0.289
10 O 0.000 0.000 0.711
11 O 0.000 0.500 0.000
12 O 0.000 0.500 0.500
13 O 0.500 0.000 0.000
14 O 0.500 0.000 0.500
15 O 0.500 0.500 0.277
16 O 0.500 0.500 0.723

Properties
M_tot   0.0 μB/f.u.
Crystal system   tetragonal
E_form   -1.941 eV/atom
Polymorph energy (0 for the lowest one)   0.3464 eV/atom